# Tm2Zn17 (PBE, optimized geometry)
# - DFT formation energy: -0.218 eV per atom
# - Energy: -1.8167 eV/atom
# - ΔE to the lowest computed polymorph: 5 meV/atom
data_Tm2Zn17
_cell_length_a 9.0095
_cell_length_b 9.0095
_cell_length_c 8.6913
_cell_angle_alpha 90.00
_cell_angle_beta 90.00
_cell_angle_gamma 120.00
_symmetry_space_group_name_H-M 'P 63/m m c'
_symmetry_Int_Tables_number 194
_symmetry_space_group_name_Hall '-P 6c 2c'
loop_
_atom_site_label
_atom_site_fract_x
_atom_site_fract_y
_atom_site_fract_z
Tm1 0.0000 0.0000 0.2500
Tm2 0.3333 0.6667 0.2500
Zn1 0.0000 0.5000 0.0000
Zn2 0.0310 0.3604 0.7500
Zn3 0.1615 0.3230 0.0168
Zn4 0.3333 0.6667 0.5970